# Nd3Si2S8Br GGA-PBE optimized geometry
# Total magnetization, μB per atom: 0.0000
# Crystal system: monoclinic
# Corrected total energy (MP2020 scheme), eV for the cell shown: -170.45
# SG: No. 15
# Calculated formation energy, meV/atom: -1810
data_Nd3Si2S8Br
_chemical_formula_sum 'Nd6 Si4 S16 Br2'
_space_group_name_H-M_alt 'P 1'
_space_group_IT_number 1
_cell_length_a 8.816
_cell_length_b 8.816
_cell_length_c 10.956
_cell_angle_alpha 97.03
_cell_angle_beta 97.03
_cell_angle_gamma 52.18
loop_
_space_group_symop_operation_xyz
'x,y,z'
loop_
_atom_site_label
_atom_site_fract_x
_atom_site_fract_y
_atom_site_fract_z
_atom_site_occupancy
Nd1 0.112 0.888 0.750 1
Nd2 0.180 0.426 0.316 1
Nd3 0.426 0.180 0.816 1
Nd4 0.574 0.820 0.184 1
Nd5 0.820 0.574 0.684 1
Nd6 0.888 0.112 0.250 1
Si1 0.125 0.194 0.029 1
Si2 0.194 0.125 0.529 1
Si3 0.806 0.875 0.471 1
Si4 0.875 0.806 0.971 1
S1 0.054 0.242 0.838 1
S2 0.091 0.776 0.454 1
S3 0.104 0.606 0.855 1
S4 0.212 0.354 0.586 1
S5 0.224 0.909 0.046 1
S6 0.242 0.054 0.338 1
S7 0.354 0.212 0.086 1
S8 0.394 0.896 0.645 1
S9 0.606 0.104 0.355 1
S10 0.646 0.788 0.914 1
S11 0.758 0.946 0.662 1
S12 0.776 0.091 0.954 1
S13 0.788 0.646 0.414 1
S14 0.896 0.394 0.145 1
S15 0.909 0.224 0.546 1
S16 0.946 0.758 0.162 1
Br1 0.495 0.505 0.250 1
Br2 0.505 0.495 0.750 1